Mg5SnB2O10 | PBE | relaxed Values from VASP.

Structure (Quantum ESPRESSO input):
```
&SYSTEM
  ibrav = 0, nat = 72, ntyp = 4
/
ATOMIC_SPECIES
Mg 24.30 Mg.upf
O 16.00 O.upf
B 10.81 B.upf
Sn 118.71 Sn.upf
CELL_PARAMETERS angstrom
3.1045 9.4670 0.0000
-3.1045 9.4670 0.0000
0.0000 9.4524 12.5147
ATOMIC_POSITIONS crystal
Mg 0.3876 0.8972 0.7180
O 0.2750 0.7653 0.3575
Mg 0.3924 0.8866 0.2184
Mg 0.0582 0.0582 0.6207
Mg 0.8866 0.3924 0.2184
O 0.6938 0.6938 0.2635
Mg 0.2454 0.2454 0.4997
O 0.1909 0.1909 0.2649
B 0.8188 0.8188 0.6380
Mg 0.1134 0.6076 0.7816
O 0.1122 0.1122 0.1450
O 0.5417 0.5417 0.7654
O 0.9533 0.9533 0.2368
O 0.5102 0.0258 0.0773
O 0.7250 0.2347 0.6425
Mg 0.1768 0.1768 0.8816
Mg 0.8972 0.3876 0.7180
Mg 0.7546 0.7546 0.5003
Mg 0.7599 0.2401 0.0000
O 0.6219 0.1328 0.1429
Sn 0.6774 0.6774 0.8845
B 0.4540 0.4540 0.8611
O 0.4583 0.4583 0.2346
O 0.4898 0.9742 0.9227
Mg 0.6124 0.1028 0.2820
B 0.3152 0.3152 0.6421
O 0.0258 0.5102 0.0773
B 0.1812 0.1812 0.3620
O 0.2347 0.7250 0.6425
O 0.7580 0.7580 0.3584
O 0.4023 0.4023 0.5448
O 0.0467 0.0467 0.7632
Mg 0.8232 0.8232 0.1184
O 0.8091 0.8091 0.7351
O 0.8878 0.8878 0.8550
B 0.9599 0.9599 0.8587
O 0.0531 0.0531 0.0436
O 0.3062 0.3062 0.7365
O 0.0965 0.0965 0.4569
O 0.3821 0.3821 0.8592
Mg 0.9418 0.9418 0.3793
O 0.8961 0.4131 0.5776
Mg 0.2401 0.7599 0.0000
O 0.3781 0.8672 0.8571
O 0.9742 0.4898 0.9227
Mg 0.6076 0.1134 0.7816
O 0.2570 0.2570 0.3566
O 0.5977 0.5977 0.4552
Mg 0.2421 0.7579 0.5000
O 0.6179 0.6179 0.1408
O 0.5533 0.5533 0.0445
Sn 0.5635 0.5635 0.6138
Mg 0.7568 0.7568 0.9978
Mg 0.2432 0.2432 0.0022
O 0.8672 0.3781 0.8571
O 0.9469 0.9469 0.9564
O 0.1328 0.6219 0.1429
B 0.6848 0.6848 0.3579
Mg 0.7579 0.2421 0.5000
B 0.5460 0.5460 0.1389
O 0.4131 0.8961 0.5776
O 0.9035 0.9035 0.5431
O 0.7430 0.7430 0.6434
O 0.1039 0.5869 0.4224
O 0.5869 0.1039 0.4224
Sn 0.3226 0.3226 0.1155
Mg 0.1028 0.6124 0.2820
O 0.4467 0.4467 0.9555
O 0.2420 0.2420 0.6416
O 0.7653 0.2750 0.3575
Sn 0.4365 0.4365 0.3862
B 0.0401 0.0401 0.1413
```

## Properties
* DFT formation energy: -2.91 eV per atom
* SG: No. 12
* calculated total energy: -481.41 eV/cell